{"formula": "Co2NiSe4", "functional": "PBE", "state": "relaxed", "dft_energy_ev_per_fu": -36.0, "cell": [[1.798, 5.993, 0.000], [-1.798, 5.993, 0.000], [0.000, 3.016, 5.371]], "species": ["Co", "Se", "Se", "Se", "Co", "Ni", "Se"], "frac_coords": [[0.261, 0.261, 0.720], [0.362, 0.362, 0.979], [0.875, 0.875, 0.460], [0.125, 0.125, 0.540], [0.739, 0.739, 0.280], [0.000, 0.000, 0.000], [0.638, 0.638, 0.021]]}